1.
# KNa4Cl5

Crystalline KNa4Cl5 at its relaxed geometry (PBE-GGA, Materials Project).

```
10
Lattice="-9.1685 9.3184 -10.9885 -11.8869 6.2581 -10.5441 -11.8751 9.4032 -7.8869" Properties=species:S:1:pos:R:3 pbc="T T T"
K 0.0000 0.0000 0.0000
Na -19.6342 14.8937 -17.5408
Na -6.5606 4.9766 -5.8611
Na -26.3700 20.0032 -23.5584
Na -13.2964 10.0861 -11.8787
Cl -23.2331 17.6236 -20.7559
Cl -16.4653 12.4899 -14.7098
Cl -3.3650 2.5525 -3.0062
Cl -9.6975 7.3561 -8.6636
Cl -29.5656 22.4272 -26.4133
```

Summary:
Formation enthalpy at 0 K ... -2126.9 meV/atom
SG ... R-3m (166)
E (MP2020) ... -3.6913 eV/atom
Energy above the most stable polymorph in this dataset ... 0 meV/atom
Total DFT energy (no corrections) ... -33.8 eV/f.u.

---

2.
# K4NaCl5

Crystalline K4NaCl5 at its relaxed geometry (PBE-GGA, Materials Project).

```
10
Lattice="3.9999 -3.0844 -5.7579 6.7555 -0.4129 -3.5857 6.4579 -8.4375 2.1844" Properties=species:S:1:pos:R:3 pbc="T T T"
K 10.3489 -7.1790 -4.2997
K 3.4142 -2.3490 -1.4424
K 13.7991 -9.5858 -5.7168
K 6.8644 -4.7558 -2.8595
Na 0.0000 0.0000 0.0000
Cl 3.2289 -4.2187 1.0922
Cl 6.9500 -2.8386 -5.3259
Cl 6.6754 -6.6891 -0.2418
Cl 10.5379 -5.2456 -6.9174
Cl 10.2633 -9.0961 -1.8333
```

Summary:
Formation enthalpy at 0 K ... -2213.6 meV/atom
SG ... C2/m (12)
E (MP2020) ... -3.7143 eV/atom
Energy above the most stable polymorph in this dataset ... 3 meV/atom
Total DFT energy (no corrections) ... -34.1 eV/f.u.

---

3.
# KNa4Cl5

Crystalline KNa4Cl5 at its relaxed geometry (PBE-GGA, Materials Project).

```
10
Lattice="-2.0834 2.0834 14.5132 2.0834 -2.0834 14.5132 2.0834 2.0834 -14.5132" Properties=species:S:1:pos:R:3 pbc="T T T"
K 0.0000 0.0000 0.0000
Na 0.0000 0.0000 11.5205
Na 0.0000 0.0000 23.1717
Na 0.0000 0.0000 5.8547
Na 0.0000 0.0000 17.5059
Cl 0.0000 0.0000 3.0599
Cl 0.0000 0.0000 14.5132
Cl 0.0000 0.0000 25.9664
Cl 0.0000 0.0000 8.6884
Cl 0.0000 0.0000 20.3380
```

Summary:
Formation enthalpy at 0 K ... -2111.8 meV/atom
SG ... I4/mmm (139)
E (MP2020) ... -3.6761 eV/atom
Energy above the most stable polymorph in this dataset ... 15 meV/atom
Total DFT energy (no corrections) ... -33.7 eV/f.u.

---

4.
# K2NaS2ClO6

Crystalline K2NaS2ClO6 at its relaxed geometry (PBE-GGA, Materials Project).

```
48
Lattice="-1.2504 -9.9929 -7.1004 12.0602 0.2762 -2.5125 1.0109 -3.3155 4.4881" Properties=species:S:1:pos:R:3 pbc="T T T"
K 3.4355 -2.0843 1.1443
K 4.9122 -8.9735 -4.2775
K 2.9803 -6.0895 -1.4626
K 8.3500 -10.8325 -6.4252
K 6.8734 -3.9434 -1.0034
K 11.6026 -3.9543 -1.8274
K 8.8756 -7.0580 -3.5060
K 0.2533 -9.1933 -3.1412
Na 0.3324 -8.1369 0.7011
Na 0.0000 0.0000 0.0000
Na 6.0834 -0.0369 -1.0194
Na 5.4049 -4.8584 -4.8064
S 9.1786 -7.4357 -7.3849
S 2.3217 -6.6278 -5.2436
S 2.8437 -11.5390 -2.1751
S 4.7351 -5.7304 1.6898
S 8.0470 -10.4549 -2.5463
S 1.6807 -2.4434 -2.0081
S 8.5376 -3.2514 -4.1495
S 9.9384 -4.6463 1.3186
Cl -0.1819 -6.4502 -1.5822
Cl 0.5055 -1.6577 2.2440
Cl 6.5977 -1.7236 1.2639
Cl 5.9104 -6.5161 -2.5624
O 10.2308 -11.5087 -4.1557
O 10.3604 -1.3930 -2.8482
O 10.4244 -6.5845 -0.8456
O 7.5950 -9.6941 -3.7209
O 4.5680 -1.9612 -1.6793
O 8.0516 -1.3132 -1.9852
O 4.5709 -9.3669 -1.2986
O 2.4965 -7.3301 -3.9633
O 9.5944 -3.6472 0.2957
O 1.7474 -3.3840 -0.8796
O 3.9601 -3.8111 -3.1928
O 1.8479 -6.2126 1.3609
O 6.9949 -6.3819 -5.7755
O 2.4557 -4.3628 2.8745
O 8.8816 -4.2504 -3.1266
O 8.1156 -6.5046 0.0174
O 0.5945 -8.7999 -6.1201
O 9.6306 -8.1964 -6.2103
O 2.6690 -10.8367 -3.4554
O 2.1819 -9.0243 -0.7913
O 2.9835 -9.1425 -6.6274
O 4.6684 -4.7898 0.5613
O 10.7585 -9.3961 -2.9979
O 6.4671 -8.4944 -6.9333
```

Summary:
Formation enthalpy at 0 K ... -2035.0 meV/atom
SG ... P4/n (85)
E (MP2020) ... -5.6477 eV/atom
Total DFT energy (no corrections) ... -63.7 eV/f.u.